Record 1
VASP calculation (PBE with a Hubbard U) on a relaxed structure of MnO2.

```
MnO2
1.0
0.157 2.674 3.600
-4.672 -1.926 1.633
0.487 -4.253 3.138
O Mn
8 4
direct
0.316 0.852 0.852 O
0.316 0.352 0.352 O
0.684 0.648 0.648 O
0.184 0.352 0.852 O
0.684 0.148 0.148 O
0.184 0.852 0.352 O
0.816 0.648 0.148 O
0.816 0.148 0.648 O
0.000 0.500 0.500 Mn
0.500 0.500 0.000 Mn
0.000 0.000 0.000 Mn
0.500 0.000 0.500 Mn
```

Calculated values
E = -7.11 eV per atom
E_form = -1776 meV per atom

---

Record 2
VASP calculation (PBE with a Hubbard U) on a relaxed structure of Na2VHgF6.

```
Na2VHgF6
1.0
-5.643 3.092 1.564
-5.822 -2.809 -1.434
-3.827 -2.355 4.864
Na F V Hg
2 6 1 1
direct
0.750 0.750 0.750 Na
0.250 0.250 0.250 Na
0.801 0.199 0.199 F
0.199 0.801 0.199 F
0.199 0.199 0.801 F
0.801 0.801 0.199 F
0.199 0.801 0.801 F
0.801 0.199 0.801 F
0.000 0.000 0.000 V
0.500 0.500 0.500 Hg
```

Calculated values
E = -4.34 eV per atom
E_form = -2432 meV per atom

---

Record 3
VASP calculation (PBE with a Hubbard U) on a relaxed structure of Li3Fe2Si2O8.

```
Li3Fe2Si2O8
1.0
6.327 0.000 0.000
0.000 5.068 0.000
0.000 0.009 10.965
O Li Si Fe
16 6 4 4
direct
0.753 0.846 0.690 O
0.539 0.356 0.114 O
0.790 0.347 0.310 O
0.959 0.857 0.906 O
0.229 0.412 0.331 O
0.968 0.337 0.085 O
0.041 0.857 0.406 O
0.210 0.347 0.810 O
0.756 0.912 0.168 O
0.474 0.814 0.401 O
0.526 0.814 0.901 O
0.247 0.846 0.190 O
0.032 0.337 0.585 O
0.244 0.912 0.668 O
0.771 0.412 0.831 O
0.461 0.356 0.614 O
0.264 0.238 0.174 Li
0.257 0.740 0.826 Li
0.736 0.238 0.674 Li
0.743 0.740 0.326 Li
0.004 0.744 0.593 Li
0.996 0.744 0.093 Li
0.256 0.737 0.331 Si
0.244 0.234 0.669 Si
0.744 0.737 0.831 Si
0.756 0.234 0.169 Si
0.506 0.740 0.078 Fe
0.494 0.740 0.578 Fe
0.013 0.238 0.414 Fe
0.987 0.238 0.914 Fe
```

Calculated values
E = -6.71 eV per atom
Distance to the lowest polymorph of the same formula = 23 meV per atom
E_form = -2499 meV per atom

---

Record 4
VASP calculation (PBE with a Hubbard U) on a relaxed structure of MgTi2Co4O8.

```
MgTi2Co4O8
1.0
6.767 0.516 -0.727
3.833 5.593 -0.727
2.940 1.694 4.797
O Ti Co Mg
8 2 4 1
direct
0.389 0.890 0.861 O
0.872 0.871 0.405 O
0.408 0.867 0.363 O
0.865 0.407 0.364 O
0.359 0.359 0.431 O
0.890 0.387 0.861 O
0.358 0.359 0.851 O
0.872 0.871 0.851 O
0.052 0.569 0.689 Ti
0.571 0.051 0.689 Ti
0.685 0.683 0.059 Co
0.684 0.684 0.573 Co
0.237 0.240 0.261 Co
0.002 0.000 0.999 Co
0.507 0.511 0.491 Mg
```

Calculated values
E = -6.57 eV per atom
Distance to the lowest polymorph of the same formula = 345 meV per atom
E_form = -1684 meV per atom

---

Record 5
VASP calculation (PBE with a Hubbard U) on a relaxed structure of Sr3CoRuO6.

```
Sr3CoRuO6
1.0
4.872 2.813 3.722
-4.872 2.813 3.722
0.000 -5.625 3.722
Co Sr O Ru
2 6 12 2
direct
0.250 0.250 0.250 Co
0.750 0.750 0.750 Co
0.750 0.387 0.113 Sr
0.613 0.887 0.250 Sr
0.113 0.750 0.387 Sr
0.887 0.250 0.613 Sr
0.387 0.113 0.750 Sr
0.250 0.613 0.887 Sr
0.963 0.084 0.288 O
0.288 0.963 0.084 O
0.084 0.288 0.963 O
0.537 0.212 0.416 O
0.416 0.537 0.212 O
0.037 0.916 0.712 O
0.788 0.584 0.463 O
0.584 0.463 0.788 O
0.212 0.416 0.537 O
0.712 0.037 0.916 O
0.916 0.712 0.037 O
0.463 0.788 0.584 O
0.500 0.500 0.500 Ru
0.000 0.000 0.000 Ru
```

Calculated values
E = -6.48 eV per atom
Distance to the lowest polymorph of the same formula = 27 meV per atom
E_form = -2354 meV per atom

---

Record 6
VASP calculation (PBE with a Hubbard U) on a relaxed structure of Mn2F7.

```
Mn2F7
1.0
7.354 0.000 0.000
0.000 7.424 0.000
0.000 0.250 9.505
Mn F
8 28
direct
0.863 0.092 0.599 Mn
0.141 0.626 0.066 Mn
0.359 0.626 0.566 Mn
0.137 0.908 0.401 Mn
0.363 0.908 0.901 Mn
0.641 0.374 0.434 Mn
0.637 0.092 0.099 Mn
0.859 0.374 0.934 Mn
0.889 0.315 0.487 F
0.112 0.828 0.929 F
0.808 0.885 0.682 F
0.110 0.432 0.922 F
0.610 0.568 0.578 F
0.614 0.961 0.912 F
0.390 0.432 0.422 F
0.796 0.545 0.814 F
0.204 0.455 0.186 F
0.389 0.685 0.013 F
0.704 0.545 0.314 F
0.388 0.828 0.429 F
0.624 0.209 0.279 F
0.890 0.568 0.078 F
0.296 0.455 0.686 F
0.111 0.685 0.513 F
0.124 0.791 0.221 F
0.376 0.791 0.721 F
0.386 0.039 0.088 F
0.886 0.961 0.412 F
0.888 0.172 0.071 F
0.876 0.209 0.779 F
0.692 0.885 0.182 F
0.114 0.039 0.588 F
0.611 0.315 0.987 F
0.612 0.172 0.571 F
0.308 0.115 0.818 F
0.192 0.115 0.318 F
```

Calculated values
E = -5.29 eV per atom
Distance to the lowest polymorph of the same formula = 49 meV per atom
E_form = -2496 meV per atom

---

Record 7
VASP calculation (PBE with a Hubbard U) on a relaxed structure of MnAs3Pb3O9.

```
MnAs3Pb3O9
1.0
1.258 1.830 6.323
1.969 6.746 -2.345
-10.628 2.458 1.403
Pb O As Mn
6 18 6 2
direct
0.709 0.719 0.293 Pb
0.370 0.307 0.194 Pb
0.141 0.501 0.508 Pb
0.859 0.001 0.008 Pb
0.291 0.219 0.793 Pb
0.630 0.807 0.694 Pb
0.969 0.783 0.670 O
0.308 0.995 0.587 O
0.683 0.076 0.821 O
0.084 0.199 0.406 O
0.965 0.312 0.910 O
0.836 0.464 0.371 O
0.035 0.812 0.410 O
0.692 0.495 0.087 O
0.470 0.324 0.579 O
0.989 0.214 0.671 O
0.916 0.699 0.906 O
0.317 0.576 0.321 O
0.709 0.989 0.538 O
0.011 0.714 0.171 O
0.530 0.824 0.079 O
0.031 0.283 0.170 O
0.291 0.489 0.038 O
0.164 0.964 0.871 O
0.478 0.117 0.490 As
0.116 0.740 0.803 As
0.793 0.289 0.780 As
0.884 0.240 0.303 As
0.522 0.617 0.990 As
0.207 0.789 0.281 As
0.014 0.006 0.545 Mn
0.986 0.506 0.045 Mn
```

Calculated values
E = -6.10 eV per atom
E_form = -1666 meV per atom

---

Record 8
VASP calculation (PBE with a Hubbard U) on a relaxed structure of LiFeF4.

```
LiFeF4
1.0
-2.773 6.974 -0.398
-4.322 -5.208 -3.270
2.485 -1.925 6.827
F Li Fe
12 3 3
direct
0.169 0.693 0.969 F
0.693 0.969 0.169 F
0.597 0.597 0.185 F
0.185 0.597 0.597 F
0.969 0.169 0.693 F
0.169 0.969 0.693 F
0.426 0.176 0.176 F
0.693 0.169 0.969 F
0.176 0.176 0.426 F
0.597 0.185 0.597 F
0.969 0.693 0.169 F
0.176 0.426 0.176 F
0.285 0.018 0.285 Li
0.285 0.285 0.018 Li
0.018 0.285 0.285 Li
0.401 0.926 0.926 Fe
0.926 0.401 0.926 Fe
0.926 0.926 0.401 Fe
```

Calculated values
E = -5.08 eV per atom
Distance to the lowest polymorph of the same formula = 68 meV per atom
E_form = -2757 meV per atom
Largest piezoelectric modulus = 1.386 C/m²

---

Record 9
VASP calculation (PBE with a Hubbard U) on a relaxed structure of Li4MgCo3O8.

```
Li4MgCo3O8
1.0
5.017 -2.856 0.000
5.017 2.856 0.000
3.392 0.000 4.671
Co O Li Mg
3 8 4 1
direct
0.000 0.500 0.500 Co
0.500 0.000 0.500 Co
0.500 0.500 0.000 Co
0.725 0.248 0.248 O
0.275 0.752 0.752 O
0.752 0.752 0.275 O
0.752 0.275 0.752 O
0.261 0.261 0.261 O
0.248 0.725 0.248 O
0.739 0.739 0.739 O
0.248 0.248 0.725 O
0.500 0.500 0.500 Li
0.500 0.000 0.000 Li
0.000 0.500 0.000 Li
0.000 0.000 0.500 Li
0.000 0.000 0.000 Mg
```

Calculated values
E = -5.63 eV per atom
E_form = -1896 meV per atom

---

Record 10
VASP calculation (PBE with a Hubbard U) on a relaxed structure of CrO3.

```
CrO3
1.0
-3.575 0.706 0.409
0.367 -0.247 3.640
0.729 3.590 0.170
Cr O
1 3
direct
0.000 0.000 0.000 Cr
0.000 0.500 0.000 O
0.500 0.000 0.000 O
0.000 0.000 0.500 O
```

Calculated values
E = -6.26 eV per atom
Distance to the lowest polymorph of the same formula = 356 meV per atom
E_form = -1155 meV per atom